No. 1
A geometry-optimized CuHgSeBr structure, computed with PBE-GGA.

Computed properties:
The electronic total energy comes out at -2.6652 eV per atom. The formation energy comes out at -1.659 eV/f.u.

abc: 4.3280 9.8233 10.3074
angles: 90.00 90.00 90.00
Sites, in units of the cell vectors:
Cu  0.0000  0.2176  0.0990
Cu  0.0000  0.2176  0.4010
Cu  0.0000  0.7824  0.5990
Cu  0.0000  0.7824  0.9010
Hg  0.5000  0.7901  0.2500
Hg  0.5000  0.5000  0.5000
Hg  0.5000  0.2099  0.7500
Hg  0.5000  0.5000  0.0000
Se  0.5000  0.7594  0.4977
Se  0.5000  0.2406  0.5023
Se  0.5000  0.7594  0.0023
Se  0.5000  0.2406  0.9977
Br  0.0000  0.9777  0.7500
Br  0.0000  0.0223  0.2500
Br  0.0000  0.5670  0.7500
Br  0.0000  0.4330  0.2500


No. 2
A geometry-optimized Cu2IBr structure, computed with PBE-GGA.

Computed properties:
The electronic total energy comes out at -2.8232 eV per atom. The formation energy comes out at -0.467 eV/f.u.

abc: 6.7800 6.7800 6.7800
angles: 33.76 33.76 33.76
Sites, in units of the cell vectors:
Cu  0.2490  0.2490  0.2490
Cu  0.7510  0.7510  0.7510
I  0.0000  0.0000  0.0000
Br  0.5000  0.5000  0.5000


No. 3
A geometry-optimized Na2InCuBr6 structure, computed with PBE-GGA.

Computed properties:
The electronic total energy comes out at -2.7941 eV per atom. The formation energy comes out at -11.827 eV/f.u.

abc: 7.5687 7.5687 7.5687
angles: 60.00 60.00 60.00
Sites, in units of the cell vectors:
Na  0.7500  0.7500  0.7500
Na  0.2500  0.2500  0.2500
In  0.0000  0.0000  0.0000
Cu  0.5000  0.5000  0.5000
Br  0.7448  0.2552  0.2552
Br  0.2552  0.2552  0.7448
Br  0.2552  0.7448  0.7448
Br  0.2552  0.7448  0.2552
Br  0.7448  0.2552  0.7448
Br  0.7448  0.7448  0.2552


- Among the records above, which one has the lowest electronic total energy?
  Cu2IBr


- Which value of electronic total energy does entry 3 give?
  -2.7941 eV per atom


- Which value of electronic total energy does entry 2 give?
  -2.8232 eV per atom